YbH3CN3 | meta-GGA r2SCAN | optimized geometry

```
YbH3CN3
1.0
5.2206 0.0000 0.0000
-2.6103 4.5212 0.0000
0.0000 0.0000 6.6727
Yb H C N
2 6 2 6
direct
0.0000 0.0000 0.0000
0.0000 0.0000 0.5000
0.0749 0.6392 0.2500
0.3608 0.4357 0.2500
0.4357 0.0749 0.7500
0.5643 0.9251 0.2500
0.6392 0.5643 0.7500
0.9251 0.3608 0.7500
0.3333 0.6667 0.7500
0.6667 0.3333 0.2500
0.1299 0.3736 0.7500
0.2437 0.8701 0.7500
0.3736 0.2437 0.2500
0.6264 0.7563 0.7500
0.7563 0.1299 0.2500
0.8701 0.6264 0.2500
```

## Properties
Crystal system   hexagonal
DFT total energy   -11.0300 eV/atom
Spin magnetization   0.00 μB per atom
Symmetry   P6_3/m, No. 176